1.
This record from Materials Project describes a geometry-optimized TbTlP2Se6 structure. The functional is GGA-PBE.

ΔH_f (0 K) ... -9.2 eV/f.u.

The structure in CIF format:
```
data_TbTlP2Se6
_cell_length_a 6.883
_cell_length_b 7.674
_cell_length_c 10.414
_cell_angle_alpha 90.00
_cell_angle_beta 91.08
_cell_angle_gamma 90.00
_symmetry_space_group_name_H-M 'P 1 21 1'
_symmetry_Int_Tables_number 4
loop_
_symmetry_equiv_pos_as_xyz
'x,y,z'
'-x,y+1/2,-z'
loop_
_atom_site_label
_atom_site_type_symbol
_atom_site_fract_x
_atom_site_fract_y
_atom_site_fract_z
Tb1 Tb 0.217 0.000 0.002
Tl1 Tl 0.315 0.222 0.508
P1 P 0.190 0.730 0.294
P2 P 0.313 0.512 0.174
Se1 Se 0.066 0.308 0.830
Se2 Se 0.076 0.313 0.168
Se3 Se 0.154 0.638 0.488
Se4 Se 0.371 0.637 0.983
Se5 Se 0.400 0.941 0.267
Se6 Se 0.410 0.916 0.746
```

---

2.
This record from Materials Project describes a geometry-optimized KZrCuTe3 structure. The functional is GGA-PBE.

ΔH_f (0 K) ... -5.9 eV/f.u.

The structure in CIF format:
```
data_KZrCuTe3
_cell_length_a 4.206
_cell_length_b 15.725
_cell_length_c 11.131
_cell_angle_alpha 90.00
_cell_angle_beta 90.00
_cell_angle_gamma 90.00
_symmetry_space_group_name_H-M 'C m c 21'
_symmetry_Int_Tables_number 36
loop_
_symmetry_equiv_pos_as_xyz
'x,y,z'
'-x,-y,z+1/2'
'-x,y,z'
'x,-y,z+1/2'
'x+1/2,y+1/2,z'
'-x+1/2,-y+1/2,z+1/2'
'-x+1/2,y+1/2,z'
'x+1/2,-y+1/2,z+1/2'
loop_
_atom_site_label
_atom_site_type_symbol
_atom_site_fract_x
_atom_site_fract_y
_atom_site_fract_z
K1 K 0.000 0.247 0.000
Zr1 Zr 0.000 0.003 0.722
Cu1 Cu 0.000 0.468 0.510
Te1 Te 0.000 0.068 0.486
Te2 Te 0.000 0.373 0.700
Te3 Te 0.000 0.378 0.305
```

---

3.
This record from Materials Project describes a geometry-optimized Nd4MgNi structure. The functional is GGA-PBE.

ΔH_f (0 K) ... -0.9 eV/f.u.

The structure in CIF format:
```
data_Nd4MgNi
_cell_length_a 13.984
_cell_length_b 13.984
_cell_length_c 13.984
_cell_angle_alpha 90.00
_cell_angle_beta 90.00
_cell_angle_gamma 90.00
_symmetry_space_group_name_H-M 'F -4 3 m'
_symmetry_Int_Tables_number 216
_symmetry_space_group_name_Hall 'F -4 2 3'
loop_
_atom_site_label
_atom_site_type_symbol
_atom_site_fract_x
_atom_site_fract_y
_atom_site_fract_z
Nd1 Nd 0.000 0.000 0.185
Nd2 Nd 0.061 0.250 0.750
Nd3 Nd 0.095 0.095 0.405
Mg1 Mg 0.171 0.171 0.171
Ni1 Ni 0.108 0.108 0.608
```

---

4.
This record from Materials Project describes a geometry-optimized Sc structure. The functional is GGA-PBE.

Relative energy among the computed polymorphs ... 0.21 eV/f.u.
ΔH_f (0 K) ... 0.2 eV/f.u.

The structure in CIF format:
```
data_Sc
_cell_length_a 6.155
_cell_length_b 6.155
_cell_length_c 5.405
_cell_angle_alpha 90.00
_cell_angle_beta 90.00
_cell_angle_gamma 90.00
_symmetry_space_group_name_H-M 'I 4/m c m'
_symmetry_Int_Tables_number 140
_symmetry_space_group_name_Hall '-I 4 2c'
loop_
_atom_site_label
_atom_site_type_symbol
_atom_site_fract_x
_atom_site_fract_y
_atom_site_fract_z
Sc1 Sc 0.165 0.335 0.000
```

---

5.
This record from Materials Project describes a geometry-optimized K2Ag2SnSe4 structure. The functional is GGA-PBE.

ΔH_f (0 K) ... -7.6 eV/f.u.

The structure in CIF format:
```
data_K2Ag2SnSe4
_cell_length_a 7.691
_cell_length_b 6.017
_cell_length_c 12.478
_cell_angle_alpha 90.00
_cell_angle_beta 113.83
_cell_angle_gamma 90.00
_symmetry_space_group_name_H-M 'P 1 2/c 1'
_symmetry_Int_Tables_number 13
loop_
_symmetry_equiv_pos_as_xyz
'x,y,z'
'-x,-y,-z'
'-x,y,-z+1/2'
'x,-y,z+1/2'
loop_
_atom_site_label
_atom_site_type_symbol
_atom_site_fract_x
_atom_site_fract_y
_atom_site_fract_z
K1 K 0.000 0.000 0.000
K2 K 0.000 0.478 0.250
Ag1 Ag 0.499 0.250 0.032
Sn1 Sn 0.500 0.249 0.750
Se1 Se 0.267 0.031 0.811
Se2 Se 0.267 0.470 0.574
```

---

6.
This record from Materials Project describes a geometry-optimized LaGa3Fe10C structure. The functional is GGA-PBE.

ΔH_f (0 K) ... -2.5 eV/f.u.

The structure in CIF format:
```
data_LaGa3Fe10C
_cell_length_a 11.780
_cell_length_b 11.914
_cell_length_c 11.549
_cell_angle_alpha 90.00
_cell_angle_beta 90.00
_cell_angle_gamma 90.00
_symmetry_space_group_name_H-M 'F m m 2'
_symmetry_Int_Tables_number 42
_symmetry_space_group_name_Hall 'F 2 -2'
loop_
_atom_site_label
_atom_site_type_symbol
_atom_site_fract_x
_atom_site_fract_y
_atom_site_fract_z
La1 La 0.250 0.250 0.000
Ga1 Ga 0.000 0.181 0.125
Ga2 Ga 0.000 0.183 0.370
Ga3 Ga 0.184 0.000 0.869
Fe1 Fe 0.000 0.000 0.250
Fe2 Fe 0.000 0.000 0.747
Fe3 Fe 0.000 0.109 0.921
Fe4 Fe 0.000 0.111 0.574
Fe5 Fe 0.108 0.000 0.429
Fe6 Fe 0.112 0.176 0.747
Fe7 Fe 0.113 0.000 0.074
Fe8 Fe 0.177 0.112 0.246
Fe9 Fe 0.179 0.000 0.634
C1 C 0.250 0.250 0.249
```

---

7.
This record from Materials Project describes a geometry-optimized NdF3 structure. The functional is GGA-PBE.

ΔH_f (0 K) ... -17.0 eV/f.u.

The structure in CIF format:
```
data_NdF3
_cell_length_a 7.1134
_cell_length_b 7.1134
_cell_length_c 7.0825
_cell_angle_alpha 90.00
_cell_angle_beta 90.00
_cell_angle_gamma 120.00
_symmetry_space_group_name_H-M 'P 63 2 2'
_symmetry_Int_Tables_number 182
_symmetry_space_group_name_Hall 'P 6c 2c'
loop_
_atom_site_label
_atom_site_type_symbol
_atom_site_fract_x
_atom_site_fract_y
_atom_site_fract_z
Nd1 Nd 0.0000 0.3305 0.0000
F1 F 0.0000 0.0000 0.2500
F2 F 0.0075 0.3477 0.3340
F3 F 0.3333 0.6667 0.5160
```

---

8.
This record from Materials Project describes a geometry-optimized HfZrN2 structure. The functional is GGA-PBE.

ΔH_f (0 K) ... -7.6 eV/f.u.

The structure in CIF format:
```
data_HfZrN2
_cell_length_a 3.2238
_cell_length_b 3.2238
_cell_length_c 16.0172
_cell_angle_alpha 90.00
_cell_angle_beta 90.00
_cell_angle_gamma 120.00
_symmetry_space_group_name_H-M 'R -3 m'
_symmetry_Int_Tables_number 166
_symmetry_space_group_name_Hall '-R 3 2"'
loop_
_atom_site_label
_atom_site_type_symbol
_atom_site_fract_x
_atom_site_fract_y
_atom_site_fract_z
Hf1 Hf 0.0000 0.0000 0.0000
Zr1 Zr 0.0000 0.0000 0.5000
N1 N 0.0000 0.0000 0.2556
```

---

no.,E_tot (Ry per atom)
1,-0.33163
2,-0.34081
3,-0.33555
4,-0.45031
5,-0.25821
6,-0.54118
7,-0.47970
8,-0.77324